No. 1
DFT (PBE) results for a relaxed LaTa2AgO7 crystal.

Calculated values
* ΔE_f: -3088.3 meV per atom

Lattice parameters (Å, degrees): 11.2879 11.2879 11.2879 160.05 160.05 28.36
Closest atoms and distances in Å follow each position.
Fractional positions:
O1 0.5000 0.5000 0.0000  2 Ta 2.28
O2 0.6871 0.6871 0.0000  1 Ta 1.81
O3 0.9158 0.4158 0.5000  2 Ta 2.00
Ag1 0.2500 0.7500 0.5000  4 O 2.39
O4 0.4151 0.9151 0.5000  2 Ta 2.00
La1 0.0000 0.0000 0.0000  12 O 2.69-2.76
O5 0.3129 0.3129 0.0000  1 Ta 1.81
Ta1 0.6042 0.6042 0.0000  5 O 1.81-2.00
Ta2 0.3958 0.3958 0.0000  5 O 1.81-2.00
O6 0.5842 0.0842 0.5000  2 Ta 2.00
O7 0.0849 0.5849 0.5000  2 Ta 2.00

No. 2
DFT (PBE) results for a relaxed LaTiAgO4 crystal.

Calculated values
* ΔE_f: -2952.0 meV per atom

Lattice parameters (Å, degrees): 3.7486 3.7486 13.6020 90.00 90.00 90.00
Closest atoms and distances in Å follow each position.
Fractional positions:
O1 0.0000 0.0000 0.2330  2 Ti 1.95
O2 0.0000 0.5000 0.9321  1 La 2.38
O3 0.0000 0.5000 0.5960  1 Ti 1.79
Ag1 0.0000 0.5000 0.4223  1 O 2.36
Ti1 0.5000 0.0000 0.2722  5 O 1.79-1.95
O4 0.5000 0.5000 0.2330  2 Ti 1.95
O5 0.0000 0.0000 0.7670  2 Ti 1.95
O6 0.5000 0.5000 0.7670  2 Ti 1.95
Ag2 0.5000 0.0000 0.5777  1 O 2.36
O7 0.5000 0.0000 0.0679  1 La 2.38
La1 0.5000 0.0000 0.8931  5 O 2.38-2.54
La2 0.0000 0.5000 0.1069  5 O 2.38-2.54
O8 0.5000 0.0000 0.4040  1 Ti 1.79
Ti2 0.0000 0.5000 0.7278  5 O 1.79-1.95

No. 3
DFT (PBE) results for a relaxed La2Ti3AgO9 crystal.

Calculated values
* ΔE_f: -3307.4 meV per atom

Lattice parameters (Å, degrees): 5.5676 5.5676 6.8039 90.00 90.00 120.00
Closest atoms and distances in Å follow each position.
Fractional positions:
Ag1 0.0000 0.0000 0.0000  12 O 2.78-2.87
La1 0.3333 0.6667 0.6733  12 O 2.73-2.79
O1 0.6561 0.8281 0.3445  2 Ti 1.97-1.99
Ti1 0.0000 0.0000 0.5000  6 O 1.97
O2 0.5000 0.0000 0.0000  2 Ti 1.95
O3 0.5000 0.5000 0.0000  2 Ti 1.95
O4 0.8281 0.6561 0.6555  2 Ti 1.97-1.99
O5 0.1719 0.3439 0.3445  2 Ti 1.97-1.99
O6 0.0000 0.5000 0.0000  2 Ti 1.95
O7 0.1719 0.8281 0.3445  2 Ti 1.97-1.99
Ti2 0.3333 0.6667 0.1626  6 O 1.95-1.99
O8 0.8281 0.1719 0.6555  2 Ti 1.97-1.99
O9 0.3439 0.1719 0.6555  2 Ti 1.97-1.99
La2 0.6667 0.3333 0.3267  12 O 2.73-2.79
Ti3 0.6667 0.3333 0.8374  6 O 1.95-1.99

No. 4
DFT (PBE) results for a relaxed La5AgS8 crystal.

Calculated values
* ΔE_f: -2229.1 meV per atom

Lattice parameters (Å, degrees): 7.5586 7.5586 7.5586 109.73 109.73 108.96
Closest atoms and distances in Å follow each position.
Fractional positions:
S1 0.1162 0.3680 0.3900  1 Ag 2.89, 5 La 2.89-3.23
S2 0.9780 0.7262 0.6100  1 Ag 2.89, 5 La 2.89-3.23
La1 0.3802 0.7650 0.8829  8 S 2.88-3.23
S3 0.4973 0.2377 0.1049  5 La 2.88-3.17
La2 0.2350 0.1179 0.6152  8 S 2.88-3.23
S4 0.7623 0.8672 0.2596  5 La 2.88-3.17
La3 0.5027 0.6198 0.3848  8 S 2.88-3.23
S5 0.1328 0.3924 0.8951  5 La 2.88-3.17
S6 0.6320 0.0220 0.7481  1 Ag 2.89, 5 La 2.89-3.23
S7 0.2738 0.8838 0.2519  1 Ag 2.89, 5 La 2.89-3.23
S8 0.6076 0.5027 0.7404  5 La 2.88-3.17
La4 0.7500 0.2500 0.5000  8 S 2.90-3.10
La5 0.8821 0.4973 0.1171  8 S 2.88-3.23
Ag1 0.0000 0.0000 0.0000  4 S 2.89

No. 5
DFT (PBE) results for a relaxed La4Ag2Se7 crystal.

Calculated values
* ΔE_f: -1763.1 meV per atom

Lattice parameters (Å, degrees): 12.4995 7.6261 7.9932 70.92 90.00 90.00
Closest atoms and distances in Å follow each position.
Fractional positions:
Se1 0.2536 0.3475 0.5038  4 La 2.94-3.17, 2 Ag 2.99-3.07
Se2 0.2862 0.8475 0.5028  1 Ag 2.75, 2 La 3.04-3.07
La1 0.1469 0.9914 0.7568  7 Se 3.04-3.34
Se3 0.9317 0.8326 0.6784  5 La 3.02-3.34, 1 Ag 3.23, 1 Se 3.37
La2 0.8531 0.9914 0.2568  7 Se 3.04-3.34
Se4 0.7138 0.8475 0.0028  1 Ag 2.75, 2 La 3.04-3.07
Ag1 0.4378 0.0862 0.5531  3 Se 2.75-2.99
Ag2 0.5622 0.0862 0.0531  3 Se 2.75-2.99
Se5 0.0033 0.2452 0.3875  4 La 3.06-3.20, 2 Se 3.36-3.37
La3 0.2044 0.1765 0.2006  7 Se 3.04-3.18
Ag3 0.3104 0.6847 0.1811  4 Se 2.76-3.07
Se6 0.5768 0.3881 0.6401  1 Ag 2.77, 2 La 2.87-2.98
Se7 0.0683 0.8326 0.1784  5 La 3.02-3.34, 1 Ag 3.23, 1 Se 3.37
Se8 0.3483 0.0381 0.9511  2 Ag 2.76-2.85, 1 La 3.04
La4 0.0636 0.5629 0.5517  7 Se 2.98-3.26
La5 0.9364 0.5629 0.0517  7 Se 2.98-3.26
Se9 0.8293 0.5686 0.4213  5 La 3.04-3.26, 1 Ag 3.06, 1 Se 3.36
La6 0.6264 0.4807 0.2556  5 Se 2.87-3.07
Ag4 0.6896 0.6847 0.6811  4 Se 2.76-3.07
Se10 0.9967 0.2452 0.8875  4 La 3.06-3.20, 2 Se 3.36-3.37
Se11 0.4232 0.3881 0.1401  1 Ag 2.77, 2 La 2.87-2.98
Se12 0.1707 0.5686 0.9213  5 La 3.04-3.26, 1 Ag 3.06, 1 Se 3.36
Se13 0.7464 0.3475 0.0038  4 La 2.94-3.17, 2 Ag 2.99-3.07
La7 0.7956 0.1765 0.7006  7 Se 3.04-3.18
La8 0.3736 0.4807 0.7556  5 Se 2.87-3.07
Se14 0.6517 0.0381 0.4511  2 Ag 2.76-2.85, 1 La 3.04

No. 6
DFT (PBE) results for a relaxed La3SiAgSe7 crystal.

Calculated values
* ΔE_f: -1720.1 meV per atom

Lattice parameters (Å, degrees): 10.9162 10.9162 6.1258 90.00 90.00 120.00
Closest atoms and distances in Å follow each position.
Fractional positions:
Ag1 0.0000 0.0000 0.6938  3 Se 2.58
Se1 0.4119 0.5231 0.4774  1 Si 2.31
Se2 0.8247 0.0925 0.7262  1 Ag 2.58
Se3 0.7322 0.8247 0.2262  1 Ag 2.58
La1 0.7674 0.1247 0.2402  8 Se 3.06-3.27
Se4 0.2678 0.1753 0.7262  1 Ag 2.58
Ag2 0.0000 0.0000 0.1938  3 Se 2.58
La2 0.1247 0.3572 0.7402  8 Se 3.06-3.27
Se5 0.5231 0.1113 0.9774  1 Si 2.31
Se6 0.3333 0.6667 0.9589  1 Si 2.27
La3 0.8753 0.6428 0.2402  8 Se 3.06-3.27
Se7 0.9075 0.7322 0.7262  1 Ag 2.58
Se8 0.4769 0.8887 0.4774  1 Si 2.31
La4 0.6428 0.7674 0.7402  8 Se 3.06-3.27
La5 0.2326 0.8753 0.7402  8 Se 3.06-3.27
Se9 0.5881 0.4769 0.9774  1 Si 2.31
Se10 0.0925 0.2678 0.2262  1 Ag 2.58
Se11 0.6667 0.3333 0.4589  1 Si 2.27
Se12 0.1113 0.5881 0.4774  1 Si 2.31
La6 0.3572 0.2326 0.2402  8 Se 3.06-3.27
Se13 0.1753 0.9075 0.2262  1 Ag 2.58
Si1 0.3333 0.6667 0.3299  4 Se 2.27-2.31
Si2 0.6667 0.3333 0.8299  4 Se 2.27-2.31
Se14 0.8887 0.4119 0.9774  1 Si 2.31